[1]
First-principles (PBE+U) data for a geometry-optimized LiMn2B2O6 structure, as listed in the Materials Project database.

POSCAR file:
```
LiMn2B2O6
1.0
13.7817 2.6476 0.0000
-13.7817 2.6476 0.0000
0.0000 0.2620 10.3622
Li Mn B O
6 12 12 36
Direct
0.4536 0.7787 0.3452 Li
0.4789 0.8188 0.8154 Li
0.8711 0.8822 0.0779 Li
0.8188 0.4789 0.3154 Li
0.7787 0.4536 0.8452 Li
0.8822 0.8711 0.5779 Li
0.0578 0.2841 0.8629 Mn
0.2880 0.4212 0.1287 Mn
0.0466 0.6177 0.6174 Mn
0.6042 0.6986 0.3758 Mn
0.2841 0.0578 0.3629 Mn
0.3572 0.8971 0.8720 Mn
0.6177 0.0466 0.1174 Mn
0.4212 0.2880 0.6287 Mn
0.7476 0.9616 0.6174 Mn
0.8971 0.3572 0.3720 Mn
0.6986 0.6042 0.8758 Mn
0.9616 0.7476 0.1174 Mn
0.0388 0.2702 0.3750 B
0.0554 0.6071 0.1232 B
0.2988 0.3955 0.6223 B
0.3788 0.9312 0.3651 B
0.2702 0.0388 0.8750 B
0.6213 0.7492 0.8804 B
0.7259 0.9339 0.1370 B
0.3955 0.2988 0.1223 B
0.6071 0.0554 0.6232 B
0.7492 0.6213 0.3804 B
0.9312 0.3788 0.8651 B
0.9339 0.7259 0.6370 B
0.2251 0.2348 0.6142 O
0.1334 0.3142 0.6637 O
0.2103 0.3636 0.3179 O
0.0952 0.4162 0.3789 O
0.9812 0.5214 0.8342 O
0.1183 0.4863 0.8577 O
0.1197 0.6791 0.4066 O
0.0148 0.8031 0.9282 O
0.3877 0.5410 0.9475 O
0.2853 0.8063 0.0539 O
0.1576 0.9559 0.5682 O
0.5539 0.6587 0.5824 O
0.2348 0.2251 0.1142 O
0.6556 0.7743 0.1741 O
0.5693 0.8619 0.1663 O
0.3142 0.1334 0.1637 O
0.4258 0.9481 0.6845 O
0.5214 0.9812 0.3342 O
0.5845 0.9391 0.6352 O
0.4863 0.1183 0.3577 O
0.3636 0.2103 0.8179 O
0.4162 0.0952 0.8789 O
0.6837 0.8906 0.8071 O
0.7771 0.8185 0.8893 O
0.8031 0.0148 0.4282 O
0.6791 0.1197 0.9066 O
0.5410 0.3877 0.4475 O
0.9559 0.1576 0.0682 O
0.6587 0.5539 0.0824 O
0.8063 0.2853 0.5539 O
0.9481 0.4258 0.1845 O
0.9391 0.5845 0.1352 O
0.7743 0.6556 0.6741 O
0.8619 0.5693 0.6663 O
0.8906 0.6837 0.3071 O
0.8185 0.7771 0.3893 O
```

* crystal system: monoclinic
* symmetry: Cc, No. 9
* total DFT energy (no corrections): -7.50 eV/atom
* excess energy over the best structure of this formula in the dataset: 3 meV/atom
* calculated formation energy: -2.43 eV per atom
* density: 3089 kg/m3
* MP2020-corrected energy: -8.181 eV per atom


[2]
First-principles (PBE+U) data for a geometry-optimized Li5Mn6B6O18 structure, as listed in the Materials Project database.

POSCAR file:
```
Li5Mn6B6O18
1.0
-1.7049 4.9747 -0.6382
-4.4001 -3.9730 0.1493
1.1531 1.8867 13.0599
Li Mn B O
5 6 6 18
Direct
0.2601 0.6974 0.3544 Li
0.3980 0.6567 0.9790 Li
0.6025 0.3416 0.0225 Li
0.7350 0.3242 0.6429 Li
0.9387 0.0127 0.6870 Li
0.5625 0.9619 0.2043 Mn
0.1153 0.3781 0.1376 Mn
0.7794 0.7192 0.4632 Mn
0.2279 0.2898 0.5259 Mn
0.8855 0.6221 0.8621 Mn
0.4482 0.0411 0.8028 Mn
0.3480 0.8375 0.5768 B
0.9842 0.8269 0.0874 B
0.6766 0.5018 0.2459 B
0.3202 0.4916 0.7535 B
0.0148 0.1733 0.9114 B
0.6560 0.1652 0.4265 B
0.1221 0.9015 0.5728 O
0.2126 0.7648 0.0957 O
0.9535 0.0046 0.1592 O
0.5546 0.9498 0.6539 O
0.7792 0.7032 0.0093 O
0.3703 0.6676 0.4962 O
0.4628 0.5839 0.2406 O
0.2951 0.6582 0.8345 O
0.8729 0.5874 0.3258 O
0.1150 0.3817 0.6754 O
0.6940 0.3298 0.1651 O
0.5488 0.4309 0.7550 O
0.6433 0.3552 0.5017 O
0.2230 0.2869 0.9882 O
0.4578 0.0549 0.3488 O
0.0393 0.0057 0.8305 O
0.7841 0.2303 0.9101 O
0.8634 0.0837 0.4434 O
```

* crystal system: triclinic
* symmetry: P1, No. 1
* total DFT energy (no corrections): -7.37 eV/atom
* excess energy over the best structure of this formula in the dataset: 8 meV/atom
* calculated formation energy: -2.47 eV per atom
* density: 3150 kg/m3
* MP2020-corrected energy: -8.008 eV per atom


[3]
First-principles (PBE+U) data for a geometry-optimized Li2Mn3B3O9 structure, as listed in the Materials Project database.

POSCAR file:
```
Li2Mn3B3O9
1.0
1.5381 -3.8758 3.1546
5.6842 -2.2773 -5.0445
3.4798 7.9213 4.3158
Li Mn B O
4 6 6 18
Direct
0.9069 0.6894 0.6498 Li
0.5674 0.3555 0.9854 Li
0.0903 0.3333 0.3584 Li
0.2438 0.0066 0.3090 Li
0.3304 0.9203 0.8403 Mn
0.3500 0.7555 0.4948 Mn
0.0213 0.4256 0.8300 Mn
0.9818 0.5856 0.1669 Mn
0.6582 0.2438 0.5145 Mn
0.6808 0.0814 0.1638 Mn
0.8689 0.7936 0.9314 B
0.7924 0.8595 0.3920 B
0.4612 0.5337 0.7275 B
0.5478 0.4697 0.2857 B
0.1998 0.1346 0.6044 B
0.1289 0.2025 0.0582 B
0.9965 0.6470 0.9740 O
0.6550 0.8551 0.9899 O
0.9492 0.8630 0.8346 O
0.0323 0.8253 0.3466 O
0.6325 0.9869 0.3445 O
0.3024 0.6553 0.6689 O
0.7294 0.7719 0.4845 O
0.3933 0.4504 0.8216 O
0.7026 0.4950 0.6863 O
0.3128 0.5236 0.3377 O
0.6024 0.5310 0.1773 O
0.2573 0.2002 0.4969 O
0.7011 0.3429 0.3405 O
0.3240 0.9874 0.6404 O
0.9968 0.2055 0.6735 O
0.0790 0.1397 0.1701 O
0.3623 0.1605 0.0103 O
0.9614 0.3214 0.0006 O
```

* crystal system: triclinic
* symmetry: P1, No. 1
* total DFT energy (no corrections): -7.43 eV/atom
* excess energy over the best structure of this formula in the dataset: 13 meV/atom
* calculated formation energy: -2.45 eV per atom
* density: 3133 kg/m3
* MP2020-corrected energy: -8.089 eV per atom